## Ba4TiAs4 (PBE)

Data for a geometry-optimized Ba4TiAs4 structure.

Properties
* crystal system: cubic
* total energy: -353.354 eV per cell
* space group: P-43n
* formation energy: -9.96 eV per formula unit
* theoretical density: 4.73 g/cm³

Lattice parameters (Å, degrees): 13.6065 13.6065 13.6065 90.00 90.00 90.00
Element x y z (fractional)
As (0.8514, 0.1115, 0.6048)
Ba (0.6482, 0.9073, 0.8636)
As (0.8952, 0.3885, 0.3514)
As (0.3952, 0.1486, 0.1115)
Ti (0.0000, 0.5000, 0.2500)
Ba (0.8518, 0.3636, 0.5927)
Ba (0.0927, 0.8636, 0.3518)
As (0.8952, 0.6115, 0.6486)
Ba (0.6484, 0.6484, 0.6484)
Ba (0.6484, 0.3516, 0.3516)
As (0.1048, 0.6115, 0.3514)
Ba (0.1482, 0.3636, 0.4073)
Ti (0.5000, 0.5000, 0.5000)
Ba (0.6364, 0.4073, 0.8518)
Ba (0.3516, 0.6484, 0.3516)
Ba (0.4073, 0.8518, 0.6364)
Ba (0.9073, 0.1364, 0.3518)
As (0.6058, 0.3942, 0.6058)
Ba (0.9073, 0.8636, 0.6482)
Ba (0.1482, 0.6364, 0.5927)
Ba (0.8518, 0.6364, 0.4073)
Ba (0.3518, 0.0927, 0.8636)
As (0.8942, 0.8942, 0.8942)
As (0.1058, 0.1058, 0.8942)
As (0.6486, 0.8952, 0.6115)
As (0.8942, 0.1058, 0.1058)
Ba (0.5927, 0.1482, 0.6364)
As (0.8885, 0.6048, 0.1486)
Ba (0.6364, 0.5927, 0.1482)
Ba (0.1484, 0.8516, 0.8516)
As (0.6058, 0.6058, 0.3942)
Ti (0.5000, 0.2500, 0.0000)
Ti (0.7500, 0.0000, 0.5000)
Ba (0.1484, 0.1484, 0.1484)
As (0.6048, 0.1486, 0.8885)
Ba (0.1364, 0.6482, 0.0927)
Ti (0.2500, 0.0000, 0.5000)
As (0.6486, 0.1048, 0.3885)
As (0.3885, 0.6486, 0.1048)
As (0.3514, 0.1048, 0.6115)
As (0.1486, 0.1115, 0.3952)
Ba (0.4073, 0.1482, 0.3636)
Ti (0.5000, 0.7500, 0.0000)
As (0.6048, 0.8514, 0.1115)
As (0.1115, 0.3952, 0.1486)
Ba (0.8516, 0.8516, 0.1484)
Ba (0.8516, 0.1484, 0.8516)
Ba (0.3636, 0.5927, 0.8518)
Ba (0.5927, 0.8518, 0.3636)
As (0.1058, 0.8942, 0.1058)
As (0.1486, 0.8885, 0.6048)
Ba (0.8636, 0.3518, 0.0927)
As (0.3942, 0.6058, 0.6058)
As (0.8514, 0.8885, 0.3952)
Ba (0.6482, 0.0927, 0.1364)
Ba (0.1364, 0.3518, 0.9073)
Ba (0.3516, 0.3516, 0.6484)
Ba (0.8636, 0.6482, 0.9073)
Ba (0.3518, 0.9073, 0.1364)
As (0.3885, 0.3514, 0.8952)
As (0.6115, 0.6486, 0.8952)
Ba (0.0927, 0.1364, 0.6482)
Ti (0.0000, 0.0000, 0.0000)
As (0.3942, 0.3942, 0.3942)
As (0.3952, 0.8514, 0.8885)
As (0.8885, 0.3952, 0.8514)
Ba (0.3636, 0.4073, 0.1482)
As (0.1048, 0.3885, 0.6486)
Ti (0.0000, 0.5000, 0.7500)
As (0.3514, 0.8952, 0.3885)
As (0.6115, 0.3514, 0.1048)
As (0.1115, 0.6048, 0.8514)


## EuMgCd2 (PBE)

Data for a geometry-optimized EuMgCd2 structure.

Properties
* crystal system: cubic
* total energy: -14.816 eV per cell
* space group: Fm-3m
* formation energy: -1.11 eV per formula unit
* theoretical density: 6.46 g/cm³

Lattice parameters (Å, degrees): 5.2624 5.2624 5.2624 60.00 60.00 60.00
Element x y z (fractional)
Mg (0.0000, 0.0000, 0.0000)
Eu (0.5000, 0.5000, 0.5000)
Cd (0.2500, 0.2500, 0.2500)
Cd (0.7500, 0.7500, 0.7500)


## Rb2InAsF6 (PBE)

Data for a geometry-optimized Rb2InAsF6 structure.

Properties
* crystal system: cubic
* total energy: -43.416 eV per cell
* space group: Fm-3m
* formation energy: -25.33 eV per formula unit
* theoretical density: 3.84 g/cm³

Lattice parameters (Å, degrees): 6.6235 6.6235 6.6235 60.00 60.00 60.00
Element x y z (fractional)
F (0.7781, 0.2219, 0.2219)
Rb (0.7500, 0.7500, 0.7500)
F (0.2219, 0.7781, 0.2219)
In (0.5000, 0.5000, 0.5000)
Rb (0.2500, 0.2500, 0.2500)
F (0.7781, 0.7781, 0.2219)
As (0.0000, 0.0000, 0.0000)
F (0.7781, 0.2219, 0.7781)
F (0.2219, 0.2219, 0.7781)
F (0.2219, 0.7781, 0.7781)


Question: What is the theoretical density in the first record?
Answer: 4.73 g/cm³


Question: The highest theoretical density belongs to which entry?
Answer: EuMgCd2


Question: Which of these has the highest formation energy?
Answer: EuMgCd2